DFT (PBE) results for a relaxed structure of KLiICl.

Properties
For the total energy, the calculation gives -3.1004 eV/atom.

Cell and atoms, written as CIF:
```
data_KLiICl
_cell_length_a 4.311
_cell_length_b 4.311
_cell_length_c 6.868
_cell_angle_alpha 90.00
_cell_angle_beta 90.00
_cell_angle_gamma 90.00
_space_group_name_H-M_alt 'P 4/m m m'
_space_group_IT_number 123
_space_group_name_Hall '-P 4 2'
loop_
_atom_site_label
_atom_site_fract_x
_atom_site_fract_y
_atom_site_fract_z
K1 0.000 0.000 0.000
Li1 0.500 0.500 0.500
I1 0.000 0.000 0.500
Cl1 0.500 0.500 0.000
```